# 1
The following is a PBE calculation of a relaxed Mg14GaSb crystal, from the Materials Project.

extended XYZ file:
```
16
Lattice="6.2944 -0.1784 0.0000 -3.3017 5.7187 0.0000 0.0000 0.0000 10.2865" Properties=species:S:1:pos:R:3 pbc="T T T"
Mg -0.0301 1.8889 6.4290
Mg -1.6764 4.7509 6.4290
Mg 3.1263 1.7961 1.2858
Mg 3.1033 1.7913 6.4290
Mg 1.4677 4.6688 1.2858
Mg 1.4521 4.6512 6.4290
Mg 1.5091 0.9138 3.8131
Mg 1.5091 0.9138 9.0450
Mg -0.1049 3.7093 3.8131
Mg -0.1049 3.7093 9.0450
Mg 4.7128 0.8147 3.8199
Mg 4.7128 0.8147 9.0382
Mg 3.0384 3.6605 3.8870
Mg 3.0384 3.6605 8.9711
Ga -0.0781 1.8611 1.2858
Sb -1.7343 4.7174 1.2858
```

Properties
energy of formation from the pure elements = -0.7 eV per formula unit
space-group type = Amm2 (38)
energy relative to the lowest polymorph listed for this composition = 18 meV per atom
mass density = 2.4 g/cm³


# 2
The following is a PBE calculation of a relaxed Mg14GaSb crystal, from the Materials Project.

extended XYZ file:
```
16
Lattice="6.3585 0.0000 0.0000 -3.1793 5.5066 0.0000 0.0000 0.0000 10.2654" Properties=species:S:1:pos:R:3 pbc="T T T"
Mg -1.5891 4.5892 1.2832
Mg -1.5952 4.5856 6.4159
Mg 3.1793 1.8349 1.2832
Mg 3.1793 1.8420 6.4159
Mg 1.5891 4.5892 1.2832
Mg 1.5952 4.5856 6.4159
Mg 1.6000 0.9118 3.8188
Mg 1.6000 0.9118 9.0129
Mg 0.0000 3.6831 3.8188
Mg 0.0000 3.6831 9.0129
Mg 4.7585 0.9118 3.8188
Mg 4.7585 0.9118 9.0129
Mg 3.1793 3.6711 3.8545
Mg 3.1793 3.6711 8.9772
Ga 0.0000 1.8355 1.2832
Sb 0.0000 1.8355 6.4159
```

Properties
energy of formation from the pure elements = -1.0 eV per formula unit
space-group type = P-6m2 (187)
energy relative to the lowest polymorph listed for this composition = 0 meV per atom
mass density = 2.5 g/cm³


# 3
The following is a PBE calculation of a relaxed Mg6GaSb crystal, from the Materials Project.

extended XYZ file:
```
16
Lattice="-2.5906 3.8601 -2.3625 -4.4649 -4.1962 -1.9600 -5.5972 1.7519 8.9999" Properties=species:S:1:pos:R:3 pbc="T T T"
Mg -5.6764 1.9071 3.5853
Mg -7.9156 -0.1973 2.6023
Mg -3.4642 -0.3397 3.2437
Mg -5.6559 -2.3994 2.2816
Mg -3.7428 1.1715 6.0182
Mg -0.9307 0.2913 1.4965
Mg -5.1103 -1.0669 -1.8946
Mg -2.8846 1.0248 -0.9176
Mg -8.4953 -1.5618 6.7636
Mg -6.2221 0.5746 7.7615
Mg -3.1767 -1.8025 0.5383
Mg -5.9617 -0.9308 5.0164
Ga -5.9555 3.3886 6.3120
Ga -5.3894 0.4146 0.8320
Sb -3.1587 2.5132 1.8149
Sb -8.1897 1.2911 5.3348
```

Properties
energy of formation from the pure elements = -0.8 eV per formula unit
energy relative to the lowest polymorph listed for this composition = 3 meV per atom
mass density = 3.1 g/cm³


# 4
The following is a PBE calculation of a relaxed Mg6GaSb crystal, from the Materials Project.

extended XYZ file:
```
16
Lattice="5.2662 0.0000 0.0000 0.0000 6.1530 0.0000 0.0000 0.0000 11.0204" Properties=species:S:1:pos:R:3 pbc="T T T"
Mg 0.0000 1.5402 0.9327
Mg 0.0000 4.6128 0.9327
Mg 0.0000 0.0000 3.6599
Mg 2.6331 4.5891 4.5390
Mg 2.6331 1.5639 4.5390
Mg 2.6331 0.0000 1.8443
Mg 0.0000 4.6167 6.4429
Mg 0.0000 1.5363 6.4429
Mg 0.0000 3.0765 9.1701
Mg 2.6331 1.5126 10.0492
Mg 2.6331 4.6404 10.0492
Mg 2.6331 3.0765 7.3545
Ga 0.0000 3.0765 3.8242
Ga 0.0000 0.0000 9.3344
Sb 2.6331 3.0765 1.7688
Sb 2.6331 0.0000 7.2790
```

Properties
energy of formation from the pure elements = -0.8 eV per formula unit
energy relative to the lowest polymorph listed for this composition = 0 meV per atom
mass density = 3.1 g/cm³


# 5
The following is a PBE calculation of a relaxed MgSc2Ga2 crystal, from the Materials Project.

extended XYZ file:
```
10
Lattice="-4.9235 1.5946 -4.9339 -1.5036 -6.9505 -0.7459 -2.7443 0.2898 2.8321" Properties=species:S:1:pos:R:3 pbc="T T T"
Mg -3.2135 -2.6780 -2.8399
Mg 0.0000 0.0000 0.0000
Sc -2.7110 -1.8635 0.3242
Sc -4.2342 -5.0889 -0.8217
Sc -6.4603 -3.2027 -3.1718
Sc -4.9372 0.0227 -2.0259
Ga -4.3972 -5.0743 -3.7416
Ga -1.5633 -4.1515 -1.0901
Ga -4.8638 -1.2044 -4.5897
Ga -2.0299 -0.2816 -1.9382
```

Properties
energy of formation from the pure elements = -2.5 eV per formula unit
space-group type = P4/mbm (127)
mass density = 4.2 g/cm³


# 6
The following is a PBE calculation of a relaxed Mg14GaSi crystal, from the Materials Project.

extended XYZ file:
```
16
Lattice="-3.7928 -4.6035 1.8349 2.7870 -0.2889 -5.5761 7.9481 -4.8646 4.2245" Properties=species:S:1:pos:R:3 pbc="T T T"
Mg 2.6854 -1.6131 -3.8123
Mg 6.6574 -4.0495 -1.7009
Mg -0.6055 -3.7750 -0.1103
Mg 3.3678 -6.2050 2.0060
Mg 0.7854 -3.9192 -2.8931
Mg 4.7623 -6.3496 -0.7841
Mg 2.1848 -3.4001 1.2566
Mg 6.1654 -5.8364 3.3723
Mg 3.5691 -3.5436 -1.5130
Mg 7.5496 -5.9799 0.6027
Mg 0.2759 -5.7171 2.1801
Mg 4.2564 -8.1534 4.2958
Mg 1.6805 -5.8547 -0.6028
Mg 5.6493 -8.2837 1.5067
Ga 5.2644 -3.9039 1.0874
Si 1.2904 -1.4716 -1.0248
```

Properties
energy of formation from the pure elements = 0.0 eV per formula unit
space-group type = P-6m2 (187)
energy relative to the lowest polymorph listed for this composition = 0 meV per atom
mass density = 2.1 g/cm³


# 7
The following is a PBE calculation of a relaxed Mg14GaSi crystal, from the Materials Project.

extended XYZ file:
```
16
Lattice="6.2193 -0.1283 0.0000 -3.2207 5.5785 0.0000 0.0000 0.0000 10.1303" Properties=species:S:1:pos:R:3 pbc="T T T"
Mg -0.0251 1.8450 6.3315
Mg -1.6332 4.6355 6.3315
Mg 3.0881 1.7870 1.2663
Mg 3.0760 1.7710 6.3315
Mg 1.4813 4.5701 1.2663
Mg 1.4614 4.5676 6.3315
Mg 1.5091 0.8773 3.7159
Mg 1.5091 0.8773 8.9470
Mg -0.0961 3.6576 3.7159
Mg -0.0961 3.6576 8.9470
Mg 4.6662 0.8345 3.7605
Mg 4.6662 0.8345 8.9024
Mg 3.0434 3.6166 3.7924
Mg 3.0434 3.6166 8.8705
Ga -1.6646 4.6174 1.2663
Si -0.0412 1.8357 1.2663
```

Properties
energy of formation from the pure elements = 0.4 eV per formula unit
space-group type = Amm2 (38)
energy relative to the lowest polymorph listed for this composition = 25 meV per atom
mass density = 2.1 g/cm³


# 8
The following is a PBE calculation of a relaxed SmMgGa crystal, from the Materials Project.

extended XYZ file:
```
9
Lattice="3.7048 -6.4169 0.0000 3.7048 6.4169 0.0000 0.0000 0.0000 4.5015" Properties=species:S:1:pos:R:3 pbc="T T T"
Sm 2.1349 3.6978 0.0000
Sm 3.1397 0.0000 0.0000
Sm 2.1349 -3.6978 0.0000
Mg 0.9014 1.5613 2.2508
Mg 5.6067 0.0000 2.2508
Mg 0.9014 -1.5613 2.2508
Ga 3.7048 2.1390 2.2508
Ga 3.7048 -2.1390 2.2508
Ga 0.0000 0.0000 0.0000
```

Properties
energy of formation from the pure elements = -1.5 eV per formula unit
space-group type = P-62m (189)
mass density = 5.7 g/cm³


# 9
The following is a PBE calculation of a relaxed Mg14GaSn crystal, from the Materials Project.

extended XYZ file:
```
16
Lattice="-5.2363 1.6828 3.1245 4.7201 -2.8894 3.0635 4.2492 9.2247 2.1532" Properties=species:S:1:pos:R:3 pbc="T T T"
Mg 3.5928 -0.9743 3.3414
Mg 5.7161 3.6381 4.4200
Mg -1.3857 1.3112 3.3747
Mg 0.7380 5.9244 4.4493
Mg 0.9722 -0.1322 4.9051
Mg 3.0990 4.4792 5.9816
Mg 0.6409 3.5569 2.3636
Mg 2.7495 8.1343 3.4320
Mg 3.0036 2.1106 3.8970
Mg 5.1121 6.6880 4.9655
Mg -1.9744 4.3974 3.9241
Mg 0.1342 8.9748 4.9926
Mg 0.3780 2.9384 5.4542
Mg 2.4998 7.5446 6.5294
Ga 3.3564 5.0828 2.8877
Sn 1.2318 0.4704 1.8111
```

Properties
energy of formation from the pure elements = -0.8 eV per formula unit
space-group type = P-6m2 (187)
energy relative to the lowest polymorph listed for this composition = 0 meV per atom
mass density = 2.4 g/cm³


# 10
The following is a PBE calculation of a relaxed Mg14GaSn crystal, from the Materials Project.

extended XYZ file:
```
16
Lattice="6.2878 -0.1346 0.0000 -3.2605 5.6473 0.0000 0.0000 0.0000 10.3361" Properties=species:S:1:pos:R:3 pbc="T T T"
Mg -0.0291 1.8656 6.4601
Mg -1.6601 4.6888 6.4601
Mg 3.1162 1.7993 1.2920
Mg 3.1052 1.7925 6.4601
Mg 1.4861 4.6227 1.2920
Mg 1.4747 4.6165 6.4601
Mg 1.5556 0.8680 3.8683
Mg 1.5556 0.8680 9.0518
Mg -0.1007 3.7368 3.8683
Mg -0.1007 3.7368 9.0518
Mg 4.6945 0.8279 3.9122
Mg 4.6945 0.8279 9.0079
Mg 3.0815 3.6615 3.8753
Mg 3.0815 3.6615 9.0448
Ga -1.6939 4.6693 1.2920
Sn -0.0420 1.8582 1.2920
```

Properties
energy of formation from the pure elements = -0.4 eV per formula unit
space-group type = Amm2 (38)
energy relative to the lowest polymorph listed for this composition = 27 meV per atom
mass density = 2.4 g/cm³


# 11
The following is a PBE calculation of a relaxed SrMg14Ga crystal, from the Materials Project.

extended XYZ file:
```
16
Lattice="-3.7237 1.6544 -5.0878 1.2498 -6.2157 1.1428 -8.6005 -0.6083 6.0968" Properties=species:S:1:pos:R:3 pbc="T T T"
Sr -1.2528 -1.8599 0.3334
Mg -5.5841 -2.1786 3.3366
Mg -4.9413 -5.2780 3.9341
Mg -3.1133 -0.9793 -2.2033
Mg -7.4373 -1.3751 0.8025
Mg -2.4690 -4.1835 -1.6142
Mg -6.8226 -4.4322 1.3645
Mg -4.3619 -0.6798 0.8225
Mg -8.4884 -0.9717 3.7477
Mg -3.7198 -3.8733 1.4097
Mg -7.8463 -4.1651 4.3349
Mg -6.2169 0.1168 -1.6452
Mg -10.2779 -0.1704 1.2335
Mg -5.4304 -2.9963 -1.2791
Mg -9.8984 -3.3123 1.8882
Ga -0.7353 -5.0181 0.7484
```

Properties
energy of formation from the pure elements = 0.1 eV per formula unit
space-group type = Amm2 (38)
energy relative to the lowest polymorph listed for this composition = 0 meV per atom
mass density = 2.1 g/cm³


# 12
The following is a PBE calculation of a relaxed SrMg14Ga crystal, from the Materials Project.

extended XYZ file:
```
16
Lattice="6.5068 0.0000 0.0000 -3.2534 5.6351 0.0000 0.0000 0.0000 10.5576" Properties=species:S:1:pos:R:3 pbc="T T T"
Sr 0.0000 1.8784 1.3197
Mg -1.5630 4.7327 1.3197
Mg -1.6531 4.6806 6.5985
Mg 3.2534 1.8048 1.3197
Mg 3.2534 1.9089 6.5985
Mg 1.5630 4.7327 1.3197
Mg 1.6531 4.6806 6.5985
Mg 1.6416 0.9306 4.1206
Mg 1.6416 0.9306 9.0764
Mg 0.0000 3.7740 4.1206
Mg 0.0000 3.7740 9.0764
Mg 4.8652 0.9306 4.1206
Mg 4.8652 0.9306 9.0764
Mg 3.2534 3.7567 3.8869
Mg 3.2534 3.7567 9.3100
Ga 0.0000 1.8784 6.5985
```

Properties
energy of formation from the pure elements = 0.4 eV per formula unit
space-group type = P-6m2 (187)
energy relative to the lowest polymorph listed for this composition = 18 meV per atom
mass density = 2.1 g/cm³


# 13
The following is a PBE calculation of a relaxed TbMgGa crystal, from the Materials Project.

extended XYZ file:
```
9
Lattice="3.6757 -6.3665 0.0000 3.6757 6.3665 0.0000 0.0000 0.0000 4.4162" Properties=species:S:1:pos:R:3 pbc="T T T"
Tb 2.1374 -3.7020 0.0000
Tb 2.1374 3.7020 0.0000
Tb 3.0766 0.0000 0.0000
Mg 0.9036 -1.5651 2.2081
Mg 0.9036 1.5651 2.2081
Mg 5.5441 0.0000 2.2081
Ga 3.6757 2.1222 2.2081
Ga 3.6757 -2.1222 2.2081
Ga 0.0000 0.0000 0.0000
```

Properties
energy of formation from the pure elements = -1.5 eV per formula unit
space-group type = P-62m (189)
mass density = 6.1 g/cm³


# 14
The following is a PBE calculation of a relaxed TmMgGa crystal, from the Materials Project.

extended XYZ file:
```
9
Lattice="3.6029 -6.2404 0.0000 3.6029 6.2404 0.0000 0.0000 0.0000 4.4055" Properties=species:S:1:pos:R:3 pbc="T T T"
Tm 2.0620 3.5715 0.0000
Tm 3.0818 0.0000 0.0000
Tm 2.0620 -3.5715 0.0000
Mg 0.8782 1.5211 2.2028
Mg 5.4494 0.0000 2.2028
Mg 0.8782 -1.5211 2.2028
Ga 3.6029 -2.0801 2.2028
Ga 3.6029 2.0801 2.2028
Ga 0.0000 0.0000 0.0000
```

Properties
energy of formation from the pure elements = -1.4 eV per formula unit
space-group type = P-62m (189)
mass density = 6.6 g/cm³


# 15
The following is a PBE calculation of a relaxed Mg14GaW crystal, from the Materials Project.

extended XYZ file:
```
16
Lattice="-5.2802 2.9467 1.4601 0.6190 -5.9709 1.3369 3.8484 2.4211 9.0309" Properties=species:S:1:pos:R:3 pbc="T T T"
Mg 1.7302 0.0140 6.3339
Mg 2.0336 -2.9715 7.0050
Mg -2.8397 0.2806 2.5499
Mg -0.8991 1.4925 7.0579
Mg -2.5294 -2.7125 3.2200
Mg -0.5885 -1.5031 7.7287
Mg -0.2287 0.8373 3.9807
Mg 1.7888 2.1065 8.7151
Mg 0.0749 -2.0911 4.6364
Mg 2.0924 -0.8218 9.3708
Mg -2.9398 2.3493 4.7807
Mg -0.9563 3.5971 9.4353
Mg -2.5647 -0.6186 5.4972
Mg -0.6361 0.5947 10.0230
Ga 0.1396 -4.1818 2.4766
W -0.1796 -1.1964 1.8123
```

Properties
energy of formation from the pure elements = 2.0 eV per formula unit
space-group type = Amm2 (38)
energy relative to the lowest polymorph listed for this composition = 12 meV per atom
mass density = 2.9 g/cm³


# 16
The following is a PBE calculation of a relaxed Mg14GaW crystal, from the Materials Project.

extended XYZ file:
```
16
Lattice="6.2393 0.0000 0.0000 -3.1196 5.4034 0.0000 0.0000 0.0000 9.9261" Properties=species:S:1:pos:R:3 pbc="T T T"
Mg -1.5553 4.5054 1.2408
Mg -1.5583 4.5037 6.2038
Mg 3.1196 1.7960 1.2408
Mg 3.1196 1.7994 6.2038
Mg 1.5554 4.5054 1.2408
Mg 1.5583 4.5037 6.2038
Mg 1.4885 0.9418 3.6732
Mg 1.4885 0.9418 8.7344
Mg 0.0000 3.5198 3.6732
Mg 0.0000 3.5198 8.7344
Mg 4.7508 0.9418 3.6732
Mg 4.7508 0.9418 8.7344
Mg 3.1196 3.6022 3.7121
Mg 3.1196 3.6022 8.6956
Ga 0.0000 1.8011 6.2038
W 0.0000 1.8011 1.2408
```

Properties
energy of formation from the pure elements = 1.8 eV per formula unit
space-group type = P-6m2 (187)
energy relative to the lowest polymorph listed for this composition = 0 meV per atom
mass density = 2.9 g/cm³


# 17
The following is a PBE calculation of a relaxed YMg14Ga crystal, from the Materials Project.

extended XYZ file:
```
16
Lattice="6.4288 0.0000 0.0000 -3.2144 5.5675 0.0000 0.0000 0.0000 10.3661" Properties=species:S:1:pos:R:3 pbc="T T T"
Y 0.0000 1.8558 1.2958
Mg -1.5454 4.6753 1.2958
Mg -1.6302 4.6263 6.4788
Mg 3.2144 1.7845 1.2958
Mg 3.2144 1.8824 6.4788
Mg 1.5454 4.6753 1.2958
Mg 1.6302 4.6263 6.4788
Mg 1.5923 0.9365 3.9797
Mg 1.5923 0.9365 8.9779
Mg 0.0000 3.6945 3.9797
Mg 0.0000 3.6945 8.9779
Mg 4.8365 0.9365 3.9797
Mg 4.8365 0.9365 8.9779
Mg 3.2144 3.7117 3.7914
Mg 3.2144 3.7117 9.1662
Ga 0.0000 1.8558 6.4788
```

Properties
energy of formation from the pure elements = -0.4 eV per formula unit
space-group type = P-6m2 (187)
energy relative to the lowest polymorph listed for this composition = 18 meV per atom
mass density = 2.2 g/cm³


# 18
The following is a PBE calculation of a relaxed YMg14Ga crystal, from the Materials Project.

extended XYZ file:
```
16
Lattice="6.4771 0.1232 0.0000 -3.1318 5.4245 0.0000 0.0000 0.0000 10.3781" Properties=species:S:1:pos:R:3 pbc="T T T"
Y -0.0376 1.7864 1.2973
Mg 0.0348 1.8283 6.4863
Mg -1.5559 4.5262 6.4863
Mg 3.2105 1.8076 1.2973
Mg 3.2553 1.9085 6.4863
Mg 1.6048 4.5889 1.2973
Mg 1.7145 4.5772 6.4863
Mg 1.6609 0.9439 3.9371
Mg 1.6609 0.9439 9.0356
Mg 0.0820 3.6787 3.9371
Mg 0.0820 3.6787 9.0356
Mg 4.8734 1.0055 3.9873
Mg 4.8734 1.0055 8.9853
Mg 3.3628 3.7497 3.7578
Mg 3.3628 3.7497 9.2148
Ga -1.4223 4.6033 1.2973
```

Properties
energy of formation from the pure elements = -0.6 eV per formula unit
space-group type = Amm2 (38)
energy relative to the lowest polymorph listed for this composition = 0 meV per atom
mass density = 2.2 g/cm³


# 19
The following is a PBE calculation of a relaxed YMgGa crystal, from the Materials Project.

extended XYZ file:
```
9
Lattice="-3.6537 -0.4502 -2.4854 1.3866 6.4118 -3.1999 2.6946 -6.1573 -2.8459" Properties=species:S:1:pos:R:3 pbc="T T T"
Y -1.2361 2.5067 -2.6060
Y 0.5155 -0.0791 -4.7126
Y -0.6788 -2.8485 -2.4552
Mg 1.0489 4.8502 -2.4205
Mg 0.9940 0.0620 -1.4725
Mg 2.0383 -4.6577 -2.1528
Ga 2.2586 -1.9676 -2.9639
Ga 1.8226 2.2221 -3.0819
Ga -1.8268 -0.2251 -1.2427
```

Properties
energy of formation from the pure elements = -1.5 eV per formula unit
space-group type = P-62m (189)
mass density = 4.4 g/cm³